# 1
# V3Sn | Materials Project | meta-GGA r2SCAN | relaxed
data_V3Sn
_chemical_formula_sum 'V6 Sn2'
_cell_length_a 5.720
_cell_length_b 5.720
_cell_length_c 4.531
_cell_angle_alpha 90.00
_cell_angle_beta 90.00
_cell_angle_gamma 121.51
_space_group_name_H-M_alt 'P 1'
_space_group_IT_number 1
_space_group_name_Hall 'P 1'
loop_
_atom_site_label
_atom_site_type_symbol
_atom_site_fract_x
_atom_site_fract_y
_atom_site_fract_z
V1 V 0.145 0.289 0.750
V2 V 0.164 0.836 0.750
V3 V 0.289 0.145 0.250
V4 V 0.711 0.855 0.750
V5 V 0.836 0.164 0.250
V6 V 0.855 0.711 0.250
Sn1 Sn 0.334 0.666 0.250
Sn2 Sn 0.666 0.334 0.750
# DFT total energy	-1.238	Ry per atom
# SG	Cmcm, No. 63
# formation enthalpy at 0 K	-0.0916	eV/atom

---

# 2
# CaNiH3 | Materials Project | meta-GGA r2SCAN | relaxed
data_CaNiH3
_chemical_formula_sum 'Ca1 Ni1 H3'
_cell_length_a 3.504
_cell_length_b 3.504
_cell_length_c 3.504
_cell_angle_alpha 90.00
_cell_angle_beta 90.00
_cell_angle_gamma 90.00
_space_group_name_H-M_alt 'P 1'
_space_group_IT_number 1
_space_group_name_Hall 'P 1'
loop_
_atom_site_label
_atom_site_type_symbol
_atom_site_fract_x
_atom_site_fract_y
_atom_site_fract_z
Ca1 Ca 0.000 0.000 0.000
Ni1 Ni 0.500 0.500 0.500
H1 H 0.000 0.500 0.500
H2 H 0.500 0.000 0.500
H3 H 0.500 0.500 0.000
# DFT total energy	-0.469	Ry per atom
# SG	Pm-3m, No. 221
# formation enthalpy at 0 K	-0.5083	eV/atom

---

# 3
# SmSbO4 | Materials Project | meta-GGA r2SCAN | relaxed
data_SmSbO4
_chemical_formula_sum 'Sm4 Sb4 O16'
_cell_length_a 7.640
_cell_length_b 5.449
_cell_length_c 7.592
_cell_angle_alpha 90.00
_cell_angle_beta 99.68
_cell_angle_gamma 90.00
_space_group_name_H-M_alt 'P 1'
_space_group_IT_number 1
_space_group_name_Hall 'P 1'
loop_
_atom_site_label
_atom_site_type_symbol
_atom_site_fract_x
_atom_site_fract_y
_atom_site_fract_z
Sm1 Sm 0.148 0.226 0.396
Sm2 Sm 0.148 0.274 0.896
Sm3 Sm 0.852 0.726 0.104
Sm4 Sm 0.852 0.774 0.604
Sb1 Sb 0.337 0.731 0.196
Sb2 Sb 0.337 0.769 0.696
Sb3 Sb 0.663 0.231 0.304
Sb4 Sb 0.663 0.269 0.804
O1 O 0.119 0.522 0.173
O2 O 0.119 0.978 0.673
O3 O 0.173 0.000 0.126
O4 O 0.173 0.500 0.626
O5 O 0.332 0.633 0.942
O6 O 0.332 0.867 0.442
O7 O 0.437 0.091 0.802
O8 O 0.437 0.409 0.302
O9 O 0.563 0.591 0.698
O10 O 0.563 0.909 0.198
O11 O 0.668 0.133 0.558
O12 O 0.668 0.367 0.058
O13 O 0.827 0.000 0.874
O14 O 0.827 0.500 0.374
O15 O 0.881 0.022 0.327
O16 O 0.881 0.478 0.827
# DFT total energy	-1.165	Ry per atom
# SG	P2_1/c, No. 14
# formation enthalpy at 0 K	-2.6310	eV/atom

---

# 4
# Li3Au | Materials Project | meta-GGA r2SCAN | relaxed
data_Li3Au
_chemical_formula_sum 'Li3 Au1'
_cell_length_a 4.394
_cell_length_b 4.394
_cell_length_c 4.394
_cell_angle_alpha 60.00
_cell_angle_beta 60.00
_cell_angle_gamma 60.00
_space_group_name_H-M_alt 'P 1'
_space_group_IT_number 1
_space_group_name_Hall 'P 1'
loop_
_atom_site_label
_atom_site_type_symbol
_atom_site_fract_x
_atom_site_fract_y
_atom_site_fract_z
Li1 Li 0.000 0.000 0.000
Li2 Li 0.250 0.250 0.250
Li3 Li 0.750 0.750 0.750
Au1 Au 0.500 0.500 0.500
# DFT total energy	-1.091	Ry per atom
# SG	Fm-3m, No. 225
# formation enthalpy at 0 K	-0.4031	eV/atom

---

# 5
# NdGaNi | Materials Project | meta-GGA r2SCAN | relaxed
data_NdGaNi
_chemical_formula_sum 'Nd4 Ga4 Ni4'
_cell_length_a 7.132
_cell_length_b 4.456
_cell_length_c 7.162
_cell_angle_alpha 90.00
_cell_angle_beta 90.00
_cell_angle_gamma 90.00
_space_group_name_H-M_alt 'P 1'
_space_group_IT_number 1
_space_group_name_Hall 'P 1'
loop_
_atom_site_label
_atom_site_type_symbol
_atom_site_fract_x
_atom_site_fract_y
_atom_site_fract_z
Nd1 Nd 0.032 0.250 0.190
Nd2 Nd 0.468 0.750 0.690
Nd3 Nd 0.532 0.250 0.310
Nd4 Nd 0.968 0.750 0.810
Ga1 Ga 0.171 0.250 0.586
Ga2 Ga 0.329 0.750 0.086
Ga3 Ga 0.671 0.250 0.914
Ga4 Ga 0.829 0.750 0.414
Ni1 Ni 0.193 0.750 0.409
Ni2 Ni 0.307 0.250 0.909
Ni3 Ni 0.693 0.750 0.091
Ni4 Ni 0.807 0.250 0.591
# DFT total energy	-1.337	Ry per atom
# SG	Pnma, No. 62
# formation enthalpy at 0 K	-0.5795	eV/atom

---

# 6
# Cd3B2O6 | Materials Project | meta-GGA r2SCAN | relaxed
data_Cd3B2O6
_chemical_formula_sum 'Cd6 B4 O12'
_cell_length_a 4.798
_cell_length_b 6.008
_cell_length_c 9.062
_cell_angle_alpha 90.00
_cell_angle_beta 90.00
_cell_angle_gamma 90.00
_space_group_name_H-M_alt 'P 1'
_space_group_IT_number 1
_space_group_name_Hall 'P 1'
loop_
_atom_site_label
_atom_site_type_symbol
_atom_site_fract_x
_atom_site_fract_y
_atom_site_fract_z
Cd1 Cd 0.000 0.000 0.000
Cd2 Cd 0.000 0.500 0.189
Cd3 Cd 0.000 0.500 0.811
Cd4 Cd 0.500 0.000 0.311
Cd5 Cd 0.500 0.000 0.689
Cd6 Cd 0.500 0.500 0.500
B1 B 0.035 0.240 0.500
B2 B 0.465 0.740 0.000
B3 B 0.535 0.260 0.000
B4 B 0.965 0.760 0.500
O1 O 0.179 0.282 0.369
O2 O 0.179 0.282 0.631
O3 O 0.242 0.820 0.500
O4 O 0.258 0.320 0.000
O5 O 0.321 0.782 0.131
O6 O 0.321 0.782 0.869
O7 O 0.679 0.218 0.131
O8 O 0.679 0.218 0.869
O9 O 0.742 0.680 0.000
O10 O 0.758 0.180 0.500
O11 O 0.821 0.718 0.369
O12 O 0.821 0.718 0.631
# DFT total energy	-0.881	Ry per atom
# SG	Pnnm, No. 58
# formation enthalpy at 0 K	-1.9154	eV/atom
# relative energy among the computed polymorphs	0	meV per atom